Compound: CeAlNi4
Source: the Materials Project database
Functional: PBE
Structure: relaxed

Computed properties:
energy of formation from the pure elements: -0.50 eV per atom

a b c (Å): 5.0382 8.3727 4.0785
angles (deg): 90.00 90.00 90.00
Space group Cmmm (No. 65)
One atom of each set of equivalent atoms:
Ce (0.0000, 0.0000, 0.0000) [2 per cell]
Al (0.0000, 0.5000, 0.5000) [2 per cell]
Ni (0.0000, 0.3324, 0.0000) [4 per cell]
Ni (0.2500, 0.2500, 0.5000) [4 per cell]